# 1
The following is a PBE with a Hubbard U calculation of crystalline CaCo2O4 at its relaxed geometry, from the Materials Project.

Structure (extended XYZ):
```
14
Lattice="0.000 4.239 4.239 4.239 0.000 4.239 4.239 4.239 0.000" Properties=species:S:1:pos:R:3 pbc="T T T"
Ca 1.060 1.060 1.060
Ca 7.419 7.419 7.419
Co 4.239 2.120 2.120
Co 2.120 4.239 2.120
Co 2.120 2.120 4.239
Co 4.239 4.239 4.239
O 2.300 2.300 2.300
O 4.059 4.059 2.300
O 4.059 2.300 4.059
O 6.179 4.419 4.419
O 2.300 4.059 4.059
O 4.419 6.179 4.419
O 4.419 4.419 6.179
O 6.179 6.179 6.179
```

Properties
Space group = Fd-3m, No. 227
Excess energy over the best structure of this formula in the dataset = 0.0490 eV per atom
Energy of formation = -1.8367 eV/atom

***

# 2
The following is a PBE with a Hubbard U calculation of crystalline CaCoO2 at its relaxed geometry, from the Materials Project.

Structure (extended XYZ):
```
16
Lattice="8.091 0.000 0.000 0.000 3.245 0.000 -0.881 0.000 8.538" Properties=species:S:1:pos:R:3 pbc="T T T"
Ca 0.497 0.811 2.441
Ca 1.505 0.811 8.123
Ca 5.704 2.434 0.415
Ca 6.712 2.434 6.097
Co 1.562 2.434 5.449
Co 3.096 2.434 2.184
Co 4.113 0.811 6.354
Co 5.647 0.811 3.089
O 0.451 0.811 6.038
O 1.537 2.434 0.892
O 1.806 2.434 3.593
O 2.992 2.434 6.963
O 4.217 0.811 1.575
O 5.403 0.811 4.945
O 5.673 0.811 7.646
O 6.759 2.434 2.500
```

Properties
Space group = P2_1/m, No. 11
Excess energy over the best structure of this formula in the dataset = 0.0033 eV per atom
Energy of formation = -2.1784 eV/atom

***

# 3
The following is a PBE with a Hubbard U calculation of crystalline Ca2CoO3 at its relaxed geometry, from the Materials Project.

Structure (extended XYZ):
```
6
Lattice="2.308 -2.301 0.000 2.308 2.301 0.000 -1.474 0.000 10.908" Properties=species:S:1:pos:R:3 pbc="T T T"
Ca 0.000 0.000 0.000
Ca -0.005 0.000 4.511
Co 2.235 0.000 2.255
O 0.025 0.000 2.256
O 2.314 0.000 0.038
O 2.305 0.000 4.473
```

Properties
Space group = Cm, No. 8
Excess energy over the best structure of this formula in the dataset = 0.0000 eV per atom
Energy of formation = -2.4047 eV/atom

***

# 4
The following is a PBE with a Hubbard U calculation of crystalline CaCo2O4 at its relaxed geometry, from the Materials Project.

Structure (extended XYZ):
```
28
Lattice="3.141 0.000 0.000 0.000 9.881 0.000 -0.048 0.000 9.715" Properties=species:S:1:pos:R:3 pbc="T T T"
Ca 0.000 1.028 0.000
Ca -0.024 8.852 4.858
Ca 1.658 3.903 4.854
Ca 1.634 5.978 9.711
Co -0.012 3.594 7.926
Co 0.012 6.287 3.068
Co 0.033 3.589 1.765
Co 0.009 6.292 6.623
Co 1.570 1.366 6.632
Co 1.594 8.515 1.774
Co 1.647 1.363 3.095
Co 1.623 8.517 7.953
O 0.063 2.706 3.464
O 0.039 7.174 8.322
O 0.046 4.260 9.695
O 0.070 5.621 4.838
O 0.156 2.702 6.250
O 0.180 7.178 1.393
O 1.558 0.714 4.841
O 1.534 9.167 9.698
O 1.584 2.232 1.376
O 1.560 7.648 6.234
O 1.577 2.232 8.309
O 1.601 7.649 3.452
O 1.702 4.932 2.403
O 1.678 4.948 7.261
O 2.868 0.042 7.252
O 2.892 9.839 2.394
```

Properties
Space group = Pc, No. 7
Excess energy over the best structure of this formula in the dataset = 0.0869 eV per atom
Energy of formation = -1.7989 eV/atom

***

# 5
The following is a PBE with a Hubbard U calculation of crystalline CaCo3O7 at its relaxed geometry, from the Materials Project.

Structure (extended XYZ):
```
44
Lattice="10.786 0.000 0.000 0.000 10.278 0.000 0.000 0.000 5.274" Properties=species:S:1:pos:R:3 pbc="T T T"
Ca 0.764 2.570 0.939
Ca 4.629 7.709 3.576
Ca 6.157 2.570 1.699
Ca 10.022 7.709 4.336
Co 2.128 5.367 3.673
Co 2.128 10.051 3.673
Co 2.366 7.709 1.007
Co 3.027 2.570 3.644
Co 3.265 0.228 1.036
Co 3.265 4.912 1.036
Co 7.520 5.367 4.238
Co 7.520 10.051 4.238
Co 7.759 7.709 1.630
Co 8.419 2.570 4.267
Co 8.658 0.228 1.601
Co 8.658 4.912 1.601
O 0.556 5.895 3.760
O 0.556 9.522 3.760
O 0.696 7.709 0.919
O 2.338 1.199 2.401
O 2.338 3.941 2.401
O 2.393 1.206 4.925
O 2.393 3.933 4.925
O 3.000 6.345 2.288
O 3.000 9.072 2.288
O 3.054 6.338 5.038
O 3.054 9.080 5.038
O 4.697 2.570 3.556
O 4.837 0.756 1.123
O 4.837 4.383 1.123
O 5.949 5.895 4.152
O 5.949 9.522 4.152
O 6.089 7.709 1.718
O 7.731 1.199 0.236
O 7.731 3.941 0.236
O 7.786 1.206 2.986
O 7.786 3.933 2.986
O 8.393 6.345 0.349
O 8.393 9.072 0.349
O 8.447 6.338 2.873
O 8.447 9.080 2.873
O 10.090 2.570 4.355
O 10.230 0.756 1.514
O 10.230 4.383 1.514
```

Properties
Space group = Pnma, No. 62
Excess energy over the best structure of this formula in the dataset = 0.0202 eV per atom
Energy of formation = -1.3734 eV/atom

***

# 6
The following is a PBE with a Hubbard U calculation of crystalline Ca2Co2O5 at its relaxed geometry, from the Materials Project.

Structure (extended XYZ):
```
72
Lattice="14.775 0.000 0.000 0.000 5.367 0.000 -0.015 0.000 11.146" Properties=species:S:1:pos:R:3 pbc="T T T"
Ca 1.552 0.068 0.120
Ca 1.550 2.612 2.666
Ca 1.542 2.754 8.239
Ca 1.545 5.299 5.693
Ca 5.764 0.076 0.119
Ca 5.758 2.595 2.642
Ca 5.750 2.771 8.214
Ca 5.757 5.290 5.692
Ca 9.004 0.076 5.454
Ca 9.010 2.595 2.931
Ca 9.003 2.771 8.504
Ca 8.996 5.290 11.027
Ca 13.215 0.068 5.453
Ca 13.218 2.612 2.907
Ca 13.211 2.754 8.480
Ca 13.208 5.299 11.026
Co -0.011 0.031 8.359
Co 0.000 2.683 0.000
Co -0.007 2.683 5.573
Co -0.004 5.335 2.786
Co 3.623 0.282 8.727
Co 3.630 5.084 3.154
Co 3.648 2.439 5.228
Co 3.640 2.928 10.801
Co 7.376 0.033 8.359
Co 7.387 2.683 0.000
Co 7.380 2.683 5.573
Co 7.384 5.334 2.786
Co 11.120 2.439 0.345
Co 11.112 2.928 5.918
Co 11.130 0.282 7.992
Co 11.137 5.084 2.419
O 0.189 1.398 9.736
O 0.197 3.969 4.163
O 0.243 1.315 4.215
O 0.236 4.052 9.788
O 1.969 0.021 2.461
O 1.962 5.345 8.034
O 2.017 2.556 0.343
O 2.010 2.811 5.916
O 3.661 0.490 4.926
O 3.659 2.218 8.997
O 3.666 3.149 3.424
O 3.654 4.876 10.499
O 5.230 0.085 2.395
O 5.223 5.282 7.968
O 5.292 2.552 0.343
O 5.285 2.814 5.916
O 7.153 1.285 4.143
O 7.146 4.081 9.716
O 7.214 1.359 9.689
O 7.221 4.007 4.116
O 7.539 1.359 7.030
O 7.547 4.007 1.457
O 7.614 1.285 1.430
O 7.607 4.081 7.003
O 9.476 2.552 5.230
O 9.468 2.814 10.803
O 9.537 0.085 3.178
O 9.530 5.282 8.751
O 11.106 0.490 0.647
O 11.094 2.218 7.722
O 11.101 3.149 2.149
O 11.099 4.876 6.220
O 12.750 2.556 5.230
O 12.743 2.811 10.803
O 12.799 0.021 3.112
O 12.791 5.345 8.685
O 14.524 1.315 1.358
O 14.517 4.052 6.931
O 14.563 1.398 6.983
O 14.571 3.969 1.410
```

Properties
Space group = P2/c, No. 13
Excess energy over the best structure of this formula in the dataset = 0.0139 eV per atom
Energy of formation = -2.1765 eV/atom

***

# 7
The following is a PBE with a Hubbard U calculation of crystalline CaCo2O4 at its relaxed geometry, from the Materials Project.

Structure (extended XYZ):
```
28
Lattice="5.927 0.000 0.000 0.000 11.047 0.000 0.000 0.000 5.133" Properties=species:S:1:pos:R:3 pbc="T T T"
Ca 1.482 2.762 0.155
Ca 1.482 8.285 1.811
Ca 4.446 2.762 3.322
Ca 4.446 8.285 4.978
Co 0.000 0.000 2.567
Co 0.000 5.524 2.567
Co 1.482 5.657 5.080
Co 1.482 10.914 5.080
Co 2.964 0.000 2.567
Co 2.964 5.524 2.567
Co 4.446 0.133 0.053
Co 4.446 5.390 0.053
O 0.010 1.154 4.293
O 0.010 4.370 4.293
O 1.482 0.986 1.694
O 1.482 4.537 1.694
O 1.482 6.603 3.421
O 1.482 9.968 3.421
O 2.953 1.154 4.293
O 2.953 4.370 4.293
O 2.974 6.677 0.841
O 2.974 9.894 0.841
O 4.446 1.079 1.713
O 4.446 4.445 1.713
O 4.446 6.510 3.439
O 4.446 10.061 3.439
O 5.917 6.677 0.841
O 5.917 9.894 0.841
```

Properties
Space group = Pmmn, No. 59
Excess energy over the best structure of this formula in the dataset = 0.0249 eV per atom
Energy of formation = -1.8609 eV/atom

***

# 8
The following is a PBE with a Hubbard U calculation of crystalline Ca2CoO3 at its relaxed geometry, from the Materials Project.

Structure (extended XYZ):
```
6
Lattice="3.314 -1.959 0.000 3.314 1.959 0.000 -0.180 0.000 10.111" Properties=species:S:1:pos:R:3 pbc="T T T"
Ca 0.942 0.000 2.108
Ca 5.507 0.000 8.003
Co 3.314 0.000 0.000
O 0.000 0.000 0.000
O 3.201 0.000 2.118
O 3.248 0.000 7.993
```

Properties
Space group = C2/m, No. 12
Excess energy over the best structure of this formula in the dataset = 0.1416 eV per atom
Energy of formation = -2.2630 eV/atom